VASP calculation (GGA+U) on a relaxed structure of LaVFeO6.

Geometry as POSCAR:
```
LaVFeO6
1.0
5.407 0.000 0.000
0.000 5.605 0.000
-5.400 0.000 7.663
La V Fe O
2 2 2 12
Cartesian
0.000 1.111 0.000 La
-2.700 4.494 3.832 La
2.739 1.576 1.931 V
0.040 4.029 5.763 V
-2.691 1.442 5.747 Fe
0.009 4.163 1.915 Fe
-2.512 1.332 3.763 O
-5.212 4.273 7.595 O
2.472 1.388 0.053 O
-0.228 4.217 3.884 O
1.346 0.069 1.993 O
-1.354 5.536 5.825 O
-1.170 2.732 5.937 O
1.530 2.873 2.105 O
1.267 0.073 5.624 O
3.967 5.532 1.793 O
4.190 2.598 1.711 O
1.490 3.007 5.542 O
```

Results
ΔE_f, eV/atom: -2.38
Magnetization, μB/f.u.: 4.000
VASP energy, hartree per atom: -0.2674

=====

VASP calculation (GGA+U) on a relaxed structure of La2VFeO6.

Geometry as POSCAR:
```
La2VFeO6
1.0
5.586 0.000 0.000
0.000 5.664 0.000
-5.585 0.000 7.935
La V Fe O
4 2 2 12
Cartesian
-0.058 0.234 1.985 La
-2.851 2.598 5.953 La
2.851 3.066 1.982 La
0.059 5.429 5.950 La
-2.793 0.000 3.968 V
0.000 2.832 0.000 V
2.793 0.000 0.000 Fe
0.000 2.832 3.968 Fe
-4.409 1.213 7.579 O
-1.616 1.618 3.611 O
-3.969 4.041 7.571 O
-1.176 4.454 3.603 O
-2.312 0.109 5.955 O
0.481 2.723 1.987 O
-0.480 2.941 5.948 O
2.313 5.554 1.980 O
1.176 1.209 4.332 O
3.969 1.623 0.365 O
1.617 4.045 4.324 O
4.409 4.450 0.357 O
```

Results
Offset from the most stable computed form, eV/atom: 0.000
ΔE_f, eV/atom: -3.06
Magnetization, μB/f.u.: 3.000
VASP energy, hartree per atom: -0.2928

=====

VASP calculation (GGA+U) on a relaxed structure of La2VFeO6.

Geometry as POSCAR:
```
La2VFeO6
1.0
5.610 0.000 0.000
-0.045 5.679 0.000
-0.042 -0.008 7.910
La V Fe O
4 2 2 12
Cartesian
0.023 2.594 1.968 La
2.687 5.442 1.990 La
2.836 0.229 5.921 La
5.500 3.077 5.942 La
-0.021 -0.004 3.955 V
2.782 2.840 0.000 V
0.000 0.000 0.000 Fe
2.762 2.835 3.955 Fe
0.420 5.546 5.910 O
1.128 4.049 3.594 O
1.204 3.975 0.388 O
1.619 1.218 3.582 O
1.721 1.298 0.357 O
2.257 2.703 5.948 O
3.266 2.968 1.963 O
3.802 4.372 7.553 O
3.905 4.453 4.328 O
4.319 1.696 7.522 O
4.395 1.622 4.316 O
5.104 0.125 2.000 O
```

Results
Offset from the most stable computed form, eV/atom: 0.019
ΔE_f, eV/atom: -3.04
Magnetization, μB/f.u.: 3.000
VASP energy, hartree per atom: -0.2921

=====

VASP calculation (GGA+U) on a relaxed structure of LaVZnFeO6.

Geometry as POSCAR:
```
LaVZnFeO6
1.0
5.395 0.000 0.000
0.000 5.681 0.000
-5.385 0.000 7.723
La V Zn Fe O
2 2 2 2 12
Cartesian
0.000 1.118 0.000 La
-2.693 4.563 3.862 La
-2.648 1.595 5.781 V
0.045 4.086 1.919 V
-0.004 0.904 3.893 Zn
2.689 4.777 0.031 Zn
2.726 1.525 1.969 Fe
0.033 4.156 5.831 Fe
-0.990 2.678 1.615 O
-3.683 3.003 5.476 O
-1.940 1.298 3.898 O
0.753 4.383 0.036 O
-3.001 1.391 7.713 O
-0.308 4.289 3.852 O
1.127 0.299 2.333 O
-1.565 5.382 6.194 O
-1.019 2.560 6.161 O
1.674 3.121 2.300 O
1.176 0.302 5.412 O
3.869 5.379 1.550 O
```

Results
ΔE_f, eV/atom: -2.46
Magnetization, μB/f.u.: 6.000
VASP energy, hartree per atom: -0.2570

=====

VASP calculation (GGA+U) on a relaxed structure of La2ZnFeO6.

Geometry as POSCAR:
```
La2ZnFeO6
1.0
2.825 1.631 4.476
-2.825 1.631 4.476
0.000 -3.262 4.476
La Zn Fe O
2 1 1 6
Cartesian
0.000 0.000 3.348 La
0.000 0.000 10.080 La
0.000 0.000 6.714 Zn
0.000 0.000 0.000 Fe
-1.667 0.477 5.585 O
-1.247 -1.205 7.843 O
0.420 -1.683 5.585 O
-0.420 1.683 7.843 O
1.247 1.205 5.585 O
1.667 -0.477 7.843 O
```

Results
ΔE_f, eV/atom: -2.74
Magnetization, μB/f.u.: 3.993
VASP energy, hartree per atom: -0.2583

=====

VASP calculation (GGA+U) on a relaxed structure of Li2Mg2MnFeP4O16.

Geometry as POSCAR:
```
Li2Mg2MnFeP4O16
1.0
4.811 0.033 5.959
0.067 10.095 0.003
-4.851 -0.029 5.991
O Li P Mg Fe Mn
32 4 8 4 2 2
Cartesian
-3.508 1.726 6.305 O
1.258 1.640 2.716 O
-1.293 8.406 9.236 O
-0.979 3.256 3.284 O
-1.110 6.244 7.409 O
-3.152 9.545 7.484 O
-1.273 8.404 3.261 O
3.750 3.366 5.711 O
-1.081 3.335 5.727 O
3.238 0.497 4.447 O
1.276 9.004 10.375 O
1.238 1.641 8.691 O
-3.677 6.656 6.235 O
-3.674 3.914 4.575 O
1.154 6.687 6.219 O
0.760 4.550 7.466 O
-0.882 5.510 10.489 O
-1.593 0.466 4.463 O
1.297 9.002 4.400 O
-1.315 1.144 7.545 O
-1.090 6.243 1.434 O
0.781 4.548 1.491 O
1.679 9.576 7.468 O
-0.862 5.509 4.514 O
-1.000 3.258 9.260 O
-1.376 8.313 5.674 O
3.455 8.345 5.658 O
1.094 6.806 2.689 O
1.157 3.945 4.559 O
1.323 1.757 6.288 O
3.515 1.175 7.529 O
1.073 6.808 8.665 O
2.389 5.117 5.768 Li
0.005 0.031 3.188 Li
-2.442 5.086 5.785 Li
-0.016 0.033 9.164 Li
2.809 9.145 4.468 P
-0.360 4.066 4.490 P
-0.380 4.068 10.465 P
0.463 6.064 1.496 P
0.443 6.066 7.471 P
-2.836 0.957 7.480 P
1.995 0.988 7.464 P
-2.022 9.114 4.484 P
-2.532 2.240 4.489 Mg
0.163 7.271 4.481 Mg
2.299 2.270 4.472 Mg
0.143 7.273 10.456 Mg
-0.122 2.797 1.493 Fe
-0.142 2.798 7.468 Fe
-2.129 7.890 7.472 Mn
2.701 7.921 7.456 Mn
```

Results
ΔE_f, eV/atom: -2.68
Magnetization, μB/f.u.: 0.000
VASP energy, hartree per atom: -0.2549